The following is a PBE calculation of an optimized crystal structure of CaAl2SiO6, from the Materials Project.

Output
Its formation energy from the elements is -3.3958 eV per atom.

Cell and atoms, written as POSCAR:
```
CaAl2SiO6
1.0
-1.031 -7.396 4.579
4.342 1.167 2.862
-3.045 5.199 7.711
Si Ca Al O
4 4 8 24
direct
0.846 0.279 0.536
0.346 0.221 0.464
0.154 0.721 0.464
0.654 0.779 0.536
0.562 0.248 0.768
0.438 0.752 0.232
0.938 0.748 0.768
0.062 0.252 0.232
0.341 0.760 0.757
0.347 0.294 0.038
0.659 0.240 0.243
0.847 0.206 0.962
0.653 0.706 0.962
0.153 0.794 0.038
0.841 0.740 0.243
0.159 0.260 0.757
0.522 0.177 0.117
0.330 0.392 0.846
0.478 0.823 0.883
0.242 0.495 0.404
0.334 0.133 0.638
0.774 0.973 0.886
0.258 0.995 0.404
0.670 0.608 0.154
0.226 0.027 0.114
0.491 0.705 0.615
0.834 0.367 0.362
0.009 0.205 0.615
0.666 0.867 0.362
0.758 0.505 0.596
0.166 0.633 0.638
0.726 0.473 0.886
0.022 0.323 0.883
0.978 0.677 0.117
0.274 0.527 0.114
0.991 0.795 0.385
0.830 0.108 0.154
0.509 0.295 0.385
0.742 0.005 0.596
0.170 0.892 0.846
```



The following is a PBE calculation of an optimized crystal structure of Dy2Mn17C3, from the Materials Project.

Output
Its formation energy from the elements is -0.0919 eV per atom.

Cell and atoms, written as POSCAR:
```
Dy2Mn17C3
1.0
2.267 4.999 -6.257
6.489 2.955 4.713
1.131 -6.814 -5.035
Mn Dy C
34 4 6
direct
0.500 0.500 0.000
0.500 0.500 0.500
0.750 0.614 0.942
0.000 0.500 0.500
0.389 0.667 0.333
0.111 0.667 0.333
0.250 0.386 0.328
0.250 0.672 0.614
0.977 0.827 0.173
0.477 0.173 0.827
0.889 0.333 0.667
0.250 0.942 0.328
0.750 0.328 0.386
0.000 0.000 0.500
0.611 0.333 0.667
0.750 0.614 0.672
0.477 0.655 0.827
0.023 0.173 0.345
0.750 0.328 0.942
0.477 0.173 0.345
0.250 0.672 0.058
0.977 0.827 0.655
0.250 0.386 0.058
0.023 0.173 0.827
0.000 0.500 0.000
0.523 0.345 0.173
0.500 0.000 0.500
0.250 0.942 0.614
0.977 0.345 0.173
0.023 0.655 0.827
0.750 0.058 0.672
0.523 0.827 0.655
0.523 0.827 0.173
0.750 0.058 0.386
0.250 0.333 0.667
0.750 0.000 0.000
0.250 0.000 0.000
0.750 0.667 0.333
0.750 0.836 0.164
0.250 0.672 0.836
0.750 0.836 0.672
0.250 0.164 0.836
0.250 0.164 0.328
0.750 0.328 0.164
```



The following is a PBE calculation of an optimized crystal structure of Na2CuH4C4O10, from the Materials Project.

Output
Its formation energy from the elements is -1.1169 eV per atom.

Cell and atoms, written as POSCAR:
```
Na2CuH4C4O10
1.0
-1.070 -0.796 -3.352
1.194 -7.480 -0.547
-8.162 -4.477 2.192
O C Na H Cu
10 4 2 4 1
direct
0.663 0.907 0.875
0.808 0.765 0.163
0.709 0.603 0.757
0.426 0.999 0.357
0.125 0.345 0.604
0.337 0.093 0.125
0.291 0.397 0.243
0.192 0.235 0.837
0.875 0.655 0.396
0.574 0.001 0.643
0.960 0.780 0.276
0.266 0.972 0.255
0.040 0.220 0.724
0.734 0.028 0.745
0.310 0.701 0.573
0.690 0.299 0.427
0.674 0.676 0.828
0.326 0.324 0.172
0.560 0.471 0.808
0.440 0.529 0.192
0.000 0.000 0.000
```



| no. | DFT total energy (eV/atom) |
| --- | --- |
| 1 | -7.4446 |
| 2 | -8.8489 |
| 3 | -5.8712 |